(1)
Below is crystalline Be12Fe at its relaxed geometry, with properties calculated at the PBE level.

a = 5.4520 Å, b = 5.4520 Å, c = 5.4520 Å
α = 98.04°, β = 98.04°, γ = 136.07°
Positions (direct):
Be1 0.0000 0.0000 0.5000
Be2 0.0000 0.2097 0.2097
Be3 0.0000 0.5000 0.0000
Be4 0.0000 0.7903 0.7903
Be5 0.1540 0.5000 0.6540
Be6 0.2097 0.0000 0.2097
Be7 0.5000 0.0000 0.0000
Be8 0.5000 0.1540 0.6540
Be9 0.5000 0.5000 0.5000
Be10 0.5000 0.8460 0.3460
Be11 0.7903 0.0000 0.7903
Be12 0.8460 0.5000 0.3460
Fe1 0.5000 0.5000 0.0000

Computed properties:
Its crystal system is tetragonal. The value obtained for the total energy is -4.15 eV/atom.


(2)
Below is crystalline La2BeGa2O7 at its relaxed geometry, with properties calculated at the PBE level.

a = 7.8291 Å, b = 7.8291 Å, c = 5.2819 Å
α = 90.00°, β = 90.00°, γ = 90.00°
Positions (direct):
La1 0.1685 0.3315 0.0155
La2 0.3315 0.8315 0.9845
La3 0.6685 0.1685 0.9845
La4 0.8315 0.6685 0.0155
Be1 0.0000 0.0000 0.5000
Be2 0.5000 0.5000 0.5000
Ga1 0.1491 0.6491 0.5316
Ga2 0.3509 0.1491 0.4684
Ga3 0.6491 0.8509 0.4684
Ga4 0.8509 0.3509 0.5316
O1 0.0000 0.5000 0.6981
O2 0.0863 0.8519 0.6914
O3 0.1338 0.6338 0.1860
O4 0.1481 0.0863 0.3086
O5 0.3519 0.5863 0.6914
O6 0.3662 0.1338 0.8140
O7 0.4137 0.3519 0.3086
O8 0.5000 0.0000 0.3019
O9 0.5863 0.6481 0.3086
O10 0.6338 0.8662 0.8140
O11 0.6481 0.4137 0.6914
O12 0.8519 0.9137 0.3086
O13 0.8662 0.3662 0.1860
O14 0.9137 0.1481 0.6914

Computed properties:
As for the magnetization: 0.00 μB per atom. Its crystal system is tetragonal. The value obtained for the total energy is -7.22 eV/atom.


(3)
Below is crystalline BeGaO3 at its relaxed geometry, with properties calculated at the PBE level.

a = 3.4625 Å, b = 3.4625 Å, c = 3.4625 Å
α = 90.00°, β = 90.00°, γ = 90.00°
Positions (direct):
Be1 0.0000 0.0000 0.0000
Ga1 0.5000 0.5000 0.5000
O1 0.0000 0.0000 0.5000
O2 0.0000 0.5000 0.0000
O3 0.5000 0.0000 0.0000

Computed properties:
As for the magnetization: 0.01 μB per atom. Its crystal system is cubic. The value obtained for the total energy is -5.20 eV/atom.